Entry 1:
# Y2Mo3O12 GGA+U optimized geometry
# Energy of formation from the pure elements ... -61.6 kcal/mol of atoms
# Energy ... -7.7900 eV/atom
# Energy with MP2020 corrections ... -8.840 eV per atom
data_Y2Mo3O12
_space_group_name_H-M_alt 'P 1'
_space_group_IT_number 1
_space_group_name_Hall 'P 1'
_cell_length_a 10.138
_cell_length_b 10.261
_cell_length_c 14.198
_cell_angle_alpha 90.00
_cell_angle_beta 90.00
_cell_angle_gamma 90.00
loop_
_atom_site_label
_atom_site_fract_x
_atom_site_fract_y
_atom_site_fract_z
_atom_site_occupancy
O1 0.426 0.660 0.920 1
Y1 0.751 0.531 0.618 1
O2 0.858 0.215 0.837 1
O3 0.574 0.160 0.920 1
Mo1 0.109 0.884 0.857 1
O4 0.320 0.480 0.736 1
O5 0.358 0.215 0.663 1
O6 0.566 0.089 0.361 1
O7 0.142 0.785 0.163 1
O8 0.180 0.980 0.764 1
O9 0.066 0.411 0.861 1
Mo2 0.528 0.750 0.000 1
O10 0.130 0.640 0.435 1
Y2 0.249 0.031 0.618 1
Mo3 0.891 0.384 0.857 1
O11 0.630 0.860 0.935 1
Y3 0.749 0.031 0.882 1
O12 0.870 0.140 0.435 1
O13 0.630 0.640 0.065 1
Y4 0.751 0.969 0.382 1
O14 0.074 0.340 0.420 1
O15 0.681 0.568 0.467 1
O16 0.819 0.068 0.033 1
O17 0.858 0.285 0.163 1
Mo4 0.609 0.616 0.357 1
O18 0.926 0.660 0.580 1
O19 0.934 0.589 0.139 1
Mo5 0.391 0.384 0.643 1
Y5 0.749 0.469 0.118 1
Y6 0.251 0.969 0.118 1
O20 0.434 0.911 0.639 1
O21 0.370 0.360 0.935 1
Mo6 0.609 0.884 0.643 1
O22 0.142 0.715 0.837 1
O23 0.319 0.432 0.533 1
O24 0.820 0.020 0.236 1
O25 0.066 0.089 0.139 1
O26 0.320 0.020 0.264 1
O27 0.370 0.140 0.065 1
O28 0.181 0.568 0.033 1
Mo7 0.472 0.250 0.000 1
Mo8 0.028 0.750 0.500 1
O29 0.681 0.932 0.533 1
O30 0.870 0.360 0.565 1
O31 0.642 0.785 0.337 1
O32 0.130 0.860 0.565 1
Mo9 0.891 0.116 0.143 1
Mo10 0.972 0.250 0.500 1
Y7 0.251 0.531 0.882 1
O33 0.819 0.432 0.967 1
O34 0.180 0.520 0.236 1
O35 0.074 0.160 0.580 1
O36 0.181 0.932 0.967 1
Mo11 0.391 0.116 0.357 1
O37 0.358 0.285 0.337 1
O38 0.820 0.480 0.764 1
O39 0.642 0.715 0.663 1
O40 0.426 0.840 0.080 1
O41 0.574 0.340 0.080 1
O42 0.926 0.840 0.420 1
O43 0.319 0.068 0.467 1
O44 0.680 0.980 0.736 1
O45 0.680 0.520 0.264 1
Y8 0.249 0.469 0.382 1
O46 0.434 0.589 0.361 1
O47 0.566 0.411 0.639 1
O48 0.934 0.911 0.861 1
Mo12 0.109 0.616 0.143 1

***

Entry 2:
# YMoO3 GGA+U optimized geometry
# Energy of formation from the pure elements ... -63.3 kcal/mol of atoms
# Energy ... -8.1257 eV/atom
# Energy with MP2020 corrections ... -9.178 eV per atom
data_YMoO3
_space_group_name_H-M_alt 'P 1'
_space_group_IT_number 1
_space_group_name_Hall 'P 1'
_cell_length_a 6.291
_cell_length_b 6.291
_cell_length_c 12.517
_cell_angle_alpha 90.00
_cell_angle_beta 90.00
_cell_angle_gamma 120.00
loop_
_atom_site_label
_atom_site_fract_x
_atom_site_fract_y
_atom_site_fract_z
_atom_site_occupancy
O1 0.000 0.693 0.671 1
Y1 0.000 0.000 0.770 1
O2 0.307 0.000 0.171 1
O3 0.693 0.693 0.171 1
O4 0.667 0.333 0.030 1
O5 0.000 0.359 0.832 1
Mo1 0.000 0.668 0.501 1
Y2 0.333 0.667 0.735 1
O6 0.000 0.000 0.464 1
O7 0.693 0.000 0.671 1
Y3 0.667 0.333 0.235 1
O8 0.359 0.000 0.832 1
Y4 0.667 0.333 0.735 1
O9 0.000 0.641 0.332 1
O10 0.333 0.667 0.030 1
O11 0.359 0.359 0.332 1
Mo2 0.332 0.332 0.501 1
O12 0.000 0.000 0.964 1
O13 0.307 0.307 0.671 1
Mo3 0.000 0.332 0.001 1
Mo4 0.668 0.668 0.001 1
O14 0.000 0.307 0.171 1
O15 0.667 0.333 0.530 1
Y5 0.333 0.667 0.235 1
O16 0.333 0.667 0.530 1
O17 0.641 0.000 0.332 1
Y6 0.000 0.000 0.270 1
Mo5 0.668 0.000 0.501 1
Mo6 0.332 0.000 0.001 1
O18 0.641 0.641 0.832 1

***

Entry 3:
# YMoO3 GGA+U optimized geometry
# Energy of formation from the pure elements ... -53.5 kcal/mol of atoms
# Energy ... -7.7004 eV/atom
# Energy with MP2020 corrections ... -8.753 eV per atom
data_YMoO3
_space_group_name_H-M_alt 'P 1'
_space_group_IT_number 1
_space_group_name_Hall 'P 1'
_cell_length_a 4.088
_cell_length_b 4.088
_cell_length_c 4.088
_cell_angle_alpha 90.00
_cell_angle_beta 90.00
_cell_angle_gamma 90.00
loop_
_atom_site_label
_atom_site_fract_x
_atom_site_fract_y
_atom_site_fract_z
_atom_site_occupancy
Mo1 0.500 0.500 0.500 1
O1 0.500 0.500 0.000 1
O2 0.000 0.500 0.500 1
Y1 0.000 0.000 0.000 1
O3 0.500 0.000 0.500 1

***

Q: The lowest energy of formation from the pure elements belongs to which entry?
A: number 2

***

Q: Which value of energy does entry 2 give?
A: -8.1257 eV/atom